# Mg2CrIn3S8 PBE-GGA optimized geometry
data_Mg2CrIn3S8
_chemical_formula_sum 'Mg2 Cr1 In3 S8'
_symmetry_space_group_name_H-M 'P 1'
_symmetry_Int_Tables_number 1
_cell_length_a 7.598
_cell_length_b 7.566
_cell_length_c 7.598
_cell_angle_alpha 59.87
_cell_angle_beta 59.99
_cell_angle_gamma 59.87
loop_
_symmetry_equiv_pos_as_xyz
'x,y,z'
loop_
_atom_site_label
_atom_site_type_symbol
_atom_site_fract_x
_atom_site_fract_y
_atom_site_fract_z
In1 In 0.000 0.500 0.500
In2 In 0.500 0.500 0.500
In3 In 0.500 0.500 0.000
S1 S 0.278 0.762 0.730
S2 S 0.257 0.729 0.257
S3 S 0.270 0.238 0.722
S4 S 0.270 0.238 0.270
S5 S 0.730 0.762 0.730
S6 S 0.743 0.271 0.743
S7 S 0.730 0.762 0.278
S8 S 0.722 0.238 0.270
Cr1 Cr 0.500 0.000 0.500
Mg1 Mg 0.875 0.875 0.875
Mg2 Mg 0.125 0.125 0.125
# energy relative to the elements: -1.10 eV/atom